Entry 1:
Computed, not measured: a relaxed structure of Er4Si2S3O7 at the PBE level of DFT.

```
Er4Si2S3O7
1.0
-5.833 5.833 6.782
5.833 -5.833 6.782
5.833 5.833 -6.782
Er Si S O
16 8 12 28
Direct
0.047 0.297 0.095
0.047 0.953 0.750
0.173 0.659 0.515
0.297 0.047 0.595
0.297 0.703 0.250
0.341 0.356 0.515
0.341 0.827 0.985
0.356 0.341 0.015
0.644 0.659 0.985
0.659 0.173 0.015
0.659 0.644 0.485
0.703 0.297 0.750
0.703 0.953 0.405
0.827 0.341 0.485
0.953 0.047 0.250
0.953 0.703 0.905
0.096 0.220 0.625
0.096 0.471 0.875
0.220 0.096 0.125
0.471 0.096 0.375
0.529 0.904 0.625
0.780 0.904 0.875
0.904 0.529 0.125
0.904 0.780 0.375
0.000 0.354 0.354
0.000 0.646 0.646
0.125 0.875 0.250
0.354 0.000 0.854
0.354 0.500 0.354
0.375 0.625 0.750
0.500 0.354 0.854
0.500 0.646 0.146
0.625 0.375 0.250
0.646 0.000 0.146
0.646 0.500 0.646
0.875 0.125 0.750
0.083 0.567 0.233
0.083 0.850 0.516
0.150 0.166 0.233
0.150 0.400 0.750
0.150 0.917 0.984
0.166 0.150 0.733
0.166 0.433 0.016
0.174 0.190 0.516
0.174 0.658 0.984
0.190 0.174 0.016
0.342 0.826 0.516
0.400 0.150 0.250
0.433 0.166 0.516
0.433 0.917 0.267
0.567 0.083 0.733
0.567 0.834 0.484
0.600 0.850 0.750
0.658 0.174 0.484
0.810 0.826 0.984
0.826 0.342 0.016
0.826 0.810 0.484
0.834 0.567 0.984
0.834 0.850 0.267
0.850 0.083 0.016
0.850 0.600 0.250
0.850 0.834 0.767
0.917 0.150 0.484
0.917 0.433 0.767
```

Results
Energy with MP2020 corrections, eV/cell: -513.12
Density, g/cm³: 6.72
Energy relative to the elements, meV/atom: -3257
Magnetization, μB per formula unit: 0.002

***

Entry 2:
Computed, not measured: a relaxed structure of Eu2Si5Pt3 at the PBE level of DFT.

```
Eu2Si5Pt3
1.0
-5.090 5.904 3.044
5.090 -5.904 3.044
5.090 5.904 -3.044
Eu Si Pt
4 10 6
Direct
0.129 0.233 0.363
0.371 0.733 0.104
0.629 0.267 0.896
0.871 0.767 0.637
0.020 0.750 0.270
0.112 0.649 0.761
0.250 0.250 0.000
0.388 0.149 0.537
0.480 0.750 0.730
0.520 0.250 0.270
0.612 0.851 0.463
0.750 0.750 0.000
0.888 0.351 0.239
0.980 0.250 0.730
0.136 0.888 0.023
0.250 0.750 0.500
0.364 0.388 0.752
0.636 0.612 0.248
0.750 0.250 0.500
0.864 0.112 0.977
```

Results
Density, g/cm³: 9.34
Energy relative to the elements, meV/atom: -889
Magnetization, μB per formula unit: 13.714

***

Entry 3:
Computed, not measured: a relaxed structure of SrAs2F12 at the PBE level of DFT.

```
SrAs2F12
1.0
9.942 0.000 0.000
0.000 9.942 0.000
0.000 0.000 9.942
Sr As F
4 8 48
Direct
0.000 0.000 0.000
0.000 0.000 0.500
0.000 0.500 0.000
0.500 0.000 0.000
0.254 0.254 0.254
0.254 0.254 0.746
0.254 0.746 0.254
0.254 0.746 0.746
0.746 0.254 0.254
0.746 0.254 0.746
0.746 0.746 0.254
0.746 0.746 0.746
0.129 0.129 0.306
0.129 0.129 0.694
0.129 0.306 0.129
0.129 0.306 0.871
0.129 0.694 0.129
0.129 0.694 0.871
0.129 0.871 0.306
0.129 0.871 0.694
0.188 0.370 0.370
0.188 0.370 0.630
0.188 0.630 0.370
0.188 0.630 0.630
0.306 0.129 0.129
0.306 0.129 0.871
0.306 0.871 0.129
0.306 0.871 0.871
0.370 0.188 0.370
0.370 0.188 0.630
0.370 0.370 0.188
0.370 0.370 0.812
0.370 0.630 0.188
0.370 0.630 0.812
0.370 0.812 0.370
0.370 0.812 0.630
0.630 0.188 0.370
0.630 0.188 0.630
0.630 0.370 0.188
0.630 0.370 0.812
0.630 0.630 0.188
0.630 0.630 0.812
0.630 0.812 0.370
0.630 0.812 0.630
0.694 0.129 0.129
0.694 0.129 0.871
0.694 0.871 0.129
0.694 0.871 0.871
0.812 0.370 0.370
0.812 0.370 0.630
0.812 0.630 0.370
0.812 0.630 0.630
0.871 0.129 0.306
0.871 0.129 0.694
0.871 0.306 0.129
0.871 0.306 0.871
0.871 0.694 0.129
0.871 0.694 0.871
0.871 0.871 0.306
0.871 0.871 0.694
```

Results
Energy with MP2020 corrections, eV/cell: -300.62
Density, g/cm³: 3.15
Energy relative to the elements, meV/atom: -2745
Magnetization, μB per formula unit: 0.018

***

Entry 4:
Computed, not measured: a relaxed structure of BiTe3 at the PBE level of DFT.

```
BiTe3
1.0
2.158 1.246 8.292
-2.158 1.246 8.292
0.000 -2.492 8.292
Bi Te
1 3
Direct
0.000 0.000 0.000
0.413 0.413 0.413
0.585 0.585 0.585
0.831 0.831 0.831
```

Results
Energy with MP2020 corrections, eV/cell: -14.39
Density, g/cm³: 7.34
Energy relative to the elements, meV/atom: -268
Magnetization, μB per formula unit: 0.004

***

Entry 5:
Computed, not measured: a relaxed structure of TlAgAs2PbS5 at the PBE level of DFT.

```
TlAgAs2PbS5
1.0
8.100 0.000 0.000
3.404 7.482 0.000
2.315 3.268 8.373
Tl Ag As Pb S
2 2 4 2 10
Direct
0.196 0.354 0.364
0.804 0.646 0.636
0.390 0.744 0.413
0.610 0.256 0.587
0.051 0.883 0.692
0.389 0.455 0.873
0.611 0.545 0.127
0.949 0.117 0.308
0.251 0.041 0.907
0.749 0.959 0.093
0.122 0.849 0.253
0.132 0.678 0.951
0.288 0.420 0.683
0.317 0.935 0.592
0.369 0.192 0.089
0.631 0.808 0.911
0.683 0.065 0.408
0.712 0.580 0.317
0.868 0.322 0.049
0.878 0.151 0.747
```

Results
Energy with MP2020 corrections, eV/cell: -88.07
Density, g/cm³: 5.43
Energy relative to the elements, meV/atom: -513
Magnetization, μB per formula unit: 0.002

***

Entry 6:
Computed, not measured: a relaxed structure of Li3CN2 at the PBE level of DFT.

```
Li3CN2
1.0
5.041 0.000 0.000
0.000 6.827 0.000
-2.596 0.000 6.347
Li C N
12 4 8
Direct
0.246 0.197 0.177
0.246 0.303 0.677
0.252 0.515 0.372
0.252 0.985 0.872
0.253 0.526 0.997
0.253 0.974 0.497
0.747 0.026 0.503
0.747 0.474 0.003
0.748 0.015 0.128
0.748 0.485 0.628
0.754 0.697 0.323
0.754 0.803 0.823
0.160 0.638 0.632
0.160 0.862 0.132
0.840 0.138 0.868
0.840 0.362 0.368
0.001 0.710 0.129
0.001 0.790 0.629
0.426 0.576 0.721
0.426 0.924 0.221
0.574 0.076 0.779
0.574 0.424 0.279
0.999 0.210 0.371
0.999 0.290 0.871
```

Results
Energy with MP2020 corrections, eV/cell: -139.26
Density, g/cm³: 1.85
Energy relative to the elements, meV/atom: -531
Magnetization, μB per formula unit: 0.000

***

Entry 7:
Computed, not measured: a relaxed structure of GaBiO3 at the PBE level of DFT.

```
GaBiO3
1.0
3.895 0.000 0.000
0.000 3.895 0.000
0.000 0.000 3.895
Ga Bi O
1 1 3
Direct
0.000 0.000 0.000
0.500 0.500 0.500
0.000 0.000 0.500
0.000 0.500 0.000
0.500 0.000 0.000
```

Results
Energy with MP2020 corrections, eV/cell: -30.45
Density, g/cm³: 9.18
Energy relative to the elements, meV/atom: -1738

***

Entry 8:
Computed, not measured: a relaxed structure of Sc4BCl6 at the PBE level of DFT.

```
Sc4BCl6
1.0
11.920 0.000 0.000
0.000 12.351 0.000
0.000 0.000 3.612
Sc B Cl
8 2 12
Direct
0.105 0.083 0.000
0.125 0.854 0.500
0.375 0.354 0.500
0.395 0.583 0.000
0.605 0.417 0.000
0.625 0.646 0.500
0.875 0.146 0.500
0.895 0.917 0.000
0.000 0.000 0.500
0.500 0.500 0.500
0.021 0.744 0.000
0.232 0.181 0.500
0.243 0.430 0.000
0.257 0.930 0.000
0.268 0.681 0.500
0.479 0.244 0.000
0.521 0.756 0.000
0.732 0.319 0.500
0.743 0.070 0.000
0.757 0.570 0.000
0.768 0.819 0.500
0.979 0.256 0.000
```

Results
Energy with MP2020 corrections, eV/cell: -132.28
Density, g/cm³: 2.52
Energy relative to the elements, meV/atom: -2094

***

Number 1: E_tot -7.623 eV per atom. Number 2: E_tot -7.474 eV per atom. Number 3: E_tot -4.641 eV per atom. Number 4: E_tot -3.282 eV per atom. Number 5: E_tot -4.152 eV per atom. Number 6: E_tot -5.682 eV per atom. Number 7: E_tot -5.678 eV per atom. Number 8: E_tot -5.678 eV per atom.